# VC4N2O11 GGA+U optimized geometry
data_VC4N2O11
_chemical_formula_sum 'V4 C16 N8 O44'
_cell_length_a 11.1517
_cell_length_b 8.7470
_cell_length_c 15.9305
_cell_angle_alpha 90.00
_cell_angle_beta 116.49
_cell_angle_gamma 90.00
_symmetry_space_group_name_H-M 'P 1 21/c 1'
_symmetry_Int_Tables_number 14
loop_
_symmetry_equiv_pos_as_xyz
'x,y,z'
'-x,-y,-z'
'-x,y+1/2,-z+1/2'
'x,-y+1/2,z+1/2'
loop_
_atom_site_label
_atom_site_type_symbol
_atom_site_fract_x
_atom_site_fract_y
_atom_site_fract_z
V1 V 0.1425 0.0468 0.3190
C1 C 0.0702 0.5194 0.4000
C2 C 0.1260 0.1833 0.6403
C3 C 0.4015 0.5532 0.7719
C4 C 0.4471 0.1973 0.4370
N1 N 0.2347 0.6535 0.1273
N2 N 0.4198 0.0906 0.0844
O1 O 0.0036 0.9995 0.8188
O2 O 0.0601 0.1683 0.3524
O3 O 0.0794 0.1465 0.5616
O4 O 0.1321 0.5368 0.4805
O5 O 0.1526 0.6222 0.8672
O6 O 0.1743 0.2244 0.7194
O7 O 0.2884 0.5217 0.7506
O8 O 0.3367 0.5558 0.3715
O9 O 0.3441 0.1446 0.4282
O10 O 0.4498 0.7413 0.0551
O11 O 0.4861 0.0823 0.7054
# DFT formation energy, eV per atom: -0.58
# Spin magnetization, μB/f.u.: 0.58
# Energy, Ha/atom: -0.2414

---

# Li3Mn2CoO6 GGA+U optimized geometry
data_Li3Mn2CoO6
_chemical_formula_sum 'Li6 Mn4 Co2 O12'
_cell_length_a 2.8631
_cell_length_b 5.0972
_cell_length_c 16.2614
_cell_angle_alpha 95.10
_cell_angle_beta 90.46
_cell_angle_gamma 105.66
_symmetry_space_group_name_H-M 'P -1'
_symmetry_Int_Tables_number 2
loop_
_symmetry_equiv_pos_as_xyz
'x,y,z'
'-x,-y,-z'
loop_
_atom_site_label
_atom_site_type_symbol
_atom_site_fract_x
_atom_site_fract_y
_atom_site_fract_z
Li1 Li 0.2432 0.4879 0.0793
Li2 Li 0.2485 0.4978 0.7501
Li3 Li 0.2568 0.5075 0.4205
Mn1 Mn 0.0017 0.0045 0.8349
Mn2 Mn 0.4919 0.9879 0.6640
Co1 Co 0.0000 0.0000 0.5000
Co2 Co 0.5000 0.0000 0.0000
O1 O 0.1032 0.2181 0.6256
O2 O 0.1118 0.2291 0.9661
O3 O 0.1197 0.2376 0.2961
O4 O 0.3479 0.7643 0.5387
O5 O 0.3875 0.7665 0.2037
O6 O 0.3906 0.7750 0.8728
# DFT formation energy, eV per atom: -1.98
# Spin magnetization, μB/f.u.: 10.00
# Energy above the most stable polymorph in this dataset, meV/atom: 26
# Energy, Ha/atom: -0.2311

---

# PbWO4 GGA+U optimized geometry
data_PbWO4
_chemical_formula_sum 'Pb8 W8 O32'
_cell_length_a 7.4958
_cell_length_b 7.1806
_cell_length_c 14.8395
_cell_angle_alpha 90.00
_cell_angle_beta 119.99
_cell_angle_gamma 90.00
_symmetry_space_group_name_H-M 'P 1 21/c 1'
_symmetry_Int_Tables_number 14
loop_
_symmetry_equiv_pos_as_xyz
'x,y,z'
'-x,-y,-z'
'-x,y+1/2,-z+1/2'
'x,-y+1/2,z+1/2'
loop_
_atom_site_label
_atom_site_type_symbol
_atom_site_fract_x
_atom_site_fract_y
_atom_site_fract_z
Pb1 Pb 0.0151 0.2032 0.3460
Pb2 Pb 0.4805 0.0393 0.8544
W1 W 0.0024 0.6673 0.4188
W2 W 0.4338 0.0422 0.5868
O1 O 0.1394 0.5767 0.5814
O2 O 0.1522 0.2480 0.7156
O3 O 0.1674 0.6217 0.9763
O4 O 0.1785 0.5159 0.3965
O5 O 0.2228 0.2299 0.5511
O6 O 0.3524 0.6913 0.8305
O7 O 0.4099 0.5843 0.1874
O8 O 0.4128 0.1419 0.4443
# DFT formation energy, eV per atom: -2.01
# Spin magnetization, μB/f.u.: 0.00
# Energy above the most stable polymorph in this dataset, meV/atom: 44
# Energy, Ha/atom: -0.2532

---

# KLaNbCrO6 GGA+U optimized geometry
data_KLaNbCrO6
_chemical_formula_sum 'K4 La4 Nb4 Cr4 O24'
_cell_length_a 7.9893
_cell_length_b 7.9893
_cell_length_c 7.9893
_cell_angle_alpha 90.00
_cell_angle_beta 90.00
_cell_angle_gamma 90.00
_symmetry_space_group_name_H-M 'F -4 3 m'
_symmetry_Int_Tables_number 216
_symmetry_space_group_name_Hall 'F -4 2 3'
loop_
_atom_site_label
_atom_site_type_symbol
_atom_site_fract_x
_atom_site_fract_y
_atom_site_fract_z
K1 K 0.0000 0.0000 0.0000
La1 La 0.0000 0.0000 0.5000
Nb1 Nb 0.2500 0.2500 0.2500
Cr1 Cr 0.2500 0.2500 0.7500
O1 O 0.9996 0.2500 0.2500
# DFT formation energy, eV per atom: -2.94
# Spin magnetization, μB/f.u.: 3.00
# Energy, Ha/atom: -0.2895

---

# Li3Mn2CoO6 GGA+U optimized geometry
data_Li3Mn2CoO6
_chemical_formula_sum 'Li3 Mn2 Co1 O6'
_cell_length_a 3.0762
_cell_length_b 5.0981
_cell_length_c 7.6507
_cell_angle_alpha 73.31
_cell_angle_beta 81.95
_cell_angle_gamma 87.72
_symmetry_space_group_name_H-M 'P -1'
_symmetry_Int_Tables_number 2
loop_
_symmetry_equiv_pos_as_xyz
'x,y,z'
'-x,-y,-z'
loop_
_atom_site_label
_atom_site_type_symbol
_atom_site_fract_x
_atom_site_fract_y
_atom_site_fract_z
Li1 Li 0.0000 0.0000 0.0000
Li2 Li 0.3282 0.9975 0.3347
Mn1 Mn 0.1534 0.4985 0.6693
Co1 Co 0.5000 0.5000 0.0000
O1 O 0.0544 0.7238 0.8378
O2 O 0.2203 0.2666 0.5024
O3 O 0.4621 0.7340 0.1622
# DFT formation energy, eV per atom: -1.98
# Spin magnetization, μB/f.u.: 8.00
# Energy above the most stable polymorph in this dataset, meV/atom: 27
# Energy, Ha/atom: -0.2311

---

# Eu2Ni2O5 GGA+U optimized geometry
data_Eu2Ni2O5
_chemical_formula_sum 'Eu8 Ni8 O20'
_cell_length_a 15.5881
_cell_length_b 5.5581
_cell_length_c 5.3140
_cell_angle_alpha 90.00
_cell_angle_beta 90.00
_cell_angle_gamma 90.00
_symmetry_space_group_name_H-M 'I m a 2'
_symmetry_Int_Tables_number 46
loop_
_symmetry_equiv_pos_as_xyz
'x,y,z'
'-x,-y,z'
'-x+1/2,y,z'
'x+1/2,-y,z'
'x+1/2,y+1/2,z+1/2'
'-x+1/2,-y+1/2,z+1/2'
'-x,y+1/2,z+1/2'
'x,-y+1/2,z+1/2'
loop_
_atom_site_label
_atom_site_type_symbol
_atom_site_fract_x
_atom_site_fract_y
_atom_site_fract_z
Eu1 Eu 0.1097 0.0179 0.0000
Ni1 Ni 0.0000 0.0000 0.5083
Ni2 Ni 0.2500 0.5582 0.9664
O1 O 0.0135 0.7461 0.7549
O2 O 0.1349 0.0636 0.5285
O3 O 0.2500 0.6009 0.5895
# DFT formation energy, eV per atom: -2.07
# Spin magnetization, μB/f.u.: 17.06
# Energy above the most stable polymorph in this dataset, meV/atom: 101
# Energy, Ha/atom: -0.2731